# 1
An optimized crystal structure of K2MoH2C2O8. Source: the Materials Project, functional PBE with a Hubbard U.

a b c (Å): 12.950 7.661 8.844
angles (deg): 86.03 90.00 90.00
Fractional positions:
K: 0.888 0.686 0.895
K: 0.112 0.314 0.105
K: 0.014 0.775 0.361
K: 0.486 0.275 0.361
K: 0.986 0.225 0.639
K: 0.612 0.186 0.895
K: 0.514 0.725 0.639
K: 0.388 0.814 0.105
Mo: 0.765 0.939 0.555
Mo: 0.735 0.439 0.555
Mo: 0.265 0.561 0.445
Mo: 0.235 0.061 0.445
H: 0.380 0.238 0.046
H: 0.880 0.262 0.954
H: 0.385 0.434 0.995
H: 0.115 0.934 0.995
H: 0.885 0.066 0.005
H: 0.120 0.738 0.046
H: 0.620 0.762 0.954
H: 0.615 0.566 0.005
C: 0.248 0.572 0.792
C: 0.748 0.928 0.208
C: 0.364 0.033 0.737
C: 0.136 0.533 0.737
C: 0.252 0.072 0.792
C: 0.636 0.967 0.263
C: 0.864 0.467 0.263
C: 0.752 0.428 0.208
O: 0.608 0.379 0.612
O: 0.221 0.823 0.477
O: 0.126 0.530 0.593
O: 0.392 0.621 0.388
O: 0.934 0.499 0.168
O: 0.566 0.999 0.168
O: 0.185 0.089 0.686
O: 0.066 0.501 0.832
O: 0.691 0.923 0.723
O: 0.626 0.970 0.407
O: 0.927 0.162 0.959
O: 0.235 0.081 0.931
O: 0.892 0.879 0.612
O: 0.809 0.423 0.723
O: 0.279 0.323 0.477
O: 0.735 0.419 0.069
O: 0.573 0.662 0.959
O: 0.191 0.577 0.277
O: 0.309 0.077 0.277
O: 0.265 0.581 0.931
O: 0.815 0.911 0.314
O: 0.874 0.470 0.407
O: 0.315 0.589 0.686
O: 0.374 0.030 0.593
O: 0.108 0.121 0.388
O: 0.434 0.001 0.832
O: 0.721 0.677 0.523
O: 0.685 0.411 0.314
O: 0.765 0.919 0.069
O: 0.779 0.177 0.523
O: 0.427 0.338 0.041
O: 0.073 0.838 0.041

Values from the calculation:
electronic total energy = -385.870 eV/cell
energy with MP2020 corrections = -420.66 eV/cell
space group = P2_1/c

# 2
An optimized crystal structure of Li3Fe5OF11. Source: the Materials Project, functional PBE with a Hubbard U.

a b c (Å): 5.256 5.688 9.457
angles (deg): 86.65 72.56 116.84
Fractional positions:
Li: 0.022 0.034 0.996
Li: 0.528 0.297 0.268
Li: 0.514 0.770 0.758
Fe: 0.985 0.499 0.497
Fe: 0.310 0.773 0.144
Fe: 0.305 0.234 0.648
Fe: 0.780 0.010 0.401
Fe: 0.806 0.505 0.907
O: 0.610 0.257 0.457
F: 0.081 0.861 0.353
F: 0.230 0.422 0.288
F: 0.209 0.894 0.805
F: 0.396 0.156 0.040
F: 0.375 0.644 0.546
F: 0.094 0.339 0.849
F: 0.909 0.588 0.107
F: 0.602 0.750 0.947
F: 0.705 0.512 0.709
F: 0.700 0.999 0.192
F: 0.889 0.080 0.612

Values from the calculation:
electronic total energy = -107.967 eV/cell
energy with MP2020 corrections = -125.02 eV/cell
space group = P1

# 3
An optimized crystal structure of Li4Ti2Mn3Ni3O16. Source: the Materials Project, functional PBE with a Hubbard U.

a b c (Å): 5.871 5.769 9.468
angles (deg): 89.99 91.85 119.44
Fractional positions:
Li: 0.321 0.661 0.895
Li: 0.990 0.995 0.993
Li: 0.005 0.002 0.496
Li: 0.665 0.332 0.395
Ti: 0.344 0.672 0.497
Ti: 0.663 0.332 0.994
Mn: 0.175 0.832 0.216
Mn: 0.175 0.343 0.216
Mn: 0.345 0.173 0.718
Ni: 0.660 0.830 0.213
Ni: 0.830 0.661 0.714
Ni: 0.830 0.169 0.714
O: 0.187 0.844 0.595
O: 0.038 0.519 0.333
O: 0.313 0.657 0.106
O: 0.015 0.008 0.308
O: 0.011 0.006 0.804
O: 0.188 0.343 0.595
O: 0.467 0.961 0.342
O: 0.468 0.507 0.342
O: 0.326 0.163 0.103
O: 0.680 0.840 0.595
O: 0.502 0.469 0.845
O: 0.502 0.033 0.845
O: 0.659 0.330 0.613
O: 0.845 0.665 0.092
O: 0.950 0.475 0.837
O: 0.844 0.179 0.092

Values from the calculation:
electronic total energy = -183.273 eV/cell
energy with MP2020 corrections = -206.89 eV/cell
space group = Cm

# 4
An optimized crystal structure of SrEuMn4O12. Source: the Materials Project, functional PBE with a Hubbard U.

a b c (Å): 5.839 5.839 8.301
angles (deg): 90.00 90.00 90.00
Fractional positions:
Sr: 0.000 0.000 0.500
Eu: 0.500 0.500 0.000
Mn: 0.000 0.500 0.748
Mn: 0.000 0.500 0.252
Mn: 0.500 0.000 0.748
Mn: 0.500 0.000 0.252
O: 0.253 0.253 0.754
O: 0.253 0.253 0.246
O: 0.747 0.747 0.754
O: 0.747 0.747 0.246
O: 0.747 0.253 0.754
O: 0.747 0.253 0.246
O: 0.253 0.747 0.754
O: 0.253 0.747 0.246
O: 0.000 0.500 0.500
O: 0.000 0.500 0.000
O: 0.500 0.000 0.500
O: 0.500 0.000 0.000

Values from the calculation:
electronic total energy = -109.388 eV/cell
energy with MP2020 corrections = -124.30 eV/cell
space group = P4/mmm

# 5
An optimized crystal structure of Li9Mn2Co5O16. Source: the Materials Project, functional PBE with a Hubbard U.

a b c (Å): 5.025 5.884 9.665
angles (deg): 83.60 85.88 86.96
Fractional positions:
Li: 0.622 0.933 0.253
Li: 0.386 0.570 0.743
Li: 0.119 0.184 0.255
Li: 0.114 0.680 0.257
Li: 0.878 0.317 0.747
Li: 0.633 0.440 0.255
Li: 0.381 0.066 0.745
Li: 0.867 0.810 0.745
Li: 0.750 0.625 0.500
Mn: 0.001 0.997 0.001
Mn: 0.499 0.253 0.999
Co: 0.256 0.871 0.501
Co: 0.001 0.502 0.999
Co: 0.750 0.125 0.500
Co: 0.499 0.748 0.001
Co: 0.244 0.379 0.499
O: 0.802 0.207 0.119
O: 0.543 0.852 0.611
O: 0.300 0.461 0.115
O: 0.306 0.950 0.118
O: 0.098 0.604 0.608
O: 0.796 0.700 0.118
O: 0.553 0.337 0.610
O: 0.083 0.108 0.607
O: 0.402 0.646 0.392
O: 0.194 0.300 0.882
O: 0.947 0.913 0.390
O: 0.957 0.398 0.389
O: 0.698 0.043 0.881
O: 0.417 0.142 0.393
O: 0.200 0.789 0.885
O: 0.704 0.550 0.882

Values from the calculation:
electronic total energy = -184.760 eV/cell
energy with MP2020 corrections = -207.28 eV/cell
space group = P-1

# 6
An optimized crystal structure of BaMnOF5. Source: the Materials Project, functional PBE with a Hubbard U.

a b c (Å): 8.077 5.624 6.310
angles (deg): 68.54 90.00 90.00
Fractional positions:
Ba: 0.250 0.907 0.377
Ba: 0.750 0.093 0.623
Mn: 0.000 0.500 0.000
Mn: 0.500 0.500 0.000
O: 0.250 0.330 0.575
O: 0.750 0.670 0.425
F: 0.250 0.390 0.035
F: 0.750 0.610 0.965
F: 0.036 0.705 0.172
F: 0.536 0.295 0.828
F: 0.964 0.295 0.828
F: 0.464 0.705 0.172
F: 0.032 0.789 0.723
F: 0.532 0.211 0.277
F: 0.968 0.211 0.277
F: 0.468 0.789 0.723

Values from the calculation:
electronic total energy = -85.441 eV/cell
energy with MP2020 corrections = -94.77 eV/cell
space group = P2_1/m